(1)
A relaxed Al2S3 crystal, computed with PBE-GGA.

- Formation energy from the elements: -0.812 eV per atom
- Total moment: 0.976 Bohr magnetons per cell

Unit cell a=7.7386 b=7.3492 c=20.9402 alpha=81.49 beta=100.10 gamma=129.25
Last column: nearest neighbours and their distance in Å.
Positions (direct):
Al: 0.4341 0.3320 0.8069  3 S 2.28-2.34
Al: 0.3615 0.0305 0.2559  3 S 2.19-2.43
Al: 0.6853 0.6507 0.6408  2 S 2.22-2.38
Al: 0.0261 0.7191 0.8917  4 S 2.23-2.35
Al: 0.5182 0.8388 0.5715  3 S 2.28-2.47
Al: 0.4798 0.7991 0.8125  2 S 2.20-2.38
Al: 0.3938 0.5140 0.4833  4 S 2.19-2.36
Al: 0.6771 0.0129 0.3743  3 S 2.24-2.29
Al: 0.2387 0.3927 0.8787  2 S 2.28-2.31
Al: 0.0883 0.4432 0.9812  3 S 2.15-2.27
Al: 0.3132 0.9979 0.6748  4 S 2.19-2.40
Al: 0.5218 0.6307 0.3211  2 S 2.31-2.40
S: 0.9966 0.3703 0.3476  1 S 2.12, 1 Al 2.27
S: 0.3782 0.0048 0.3622  2 Al 2.19-2.24
S: 0.7493 0.7118 0.8352  2 Al 2.23-2.34
S: 0.0659 0.7062 0.0016  2 Al 2.15-2.26
S: 0.5829 0.9682 0.7162  2 Al 2.20-2.24
S: 0.2337 0.3155 0.3855  1 S 2.12, 1 Al 2.36
S: 0.3191 0.3684 0.9882  2 Al 2.15-2.28
S: 0.1714 0.5140 0.5348  2 Al 2.19-2.28
S: 0.9766 0.6804 0.6944  2 Al 2.19-2.22
S: 0.3728 0.9934 0.8556  3 Al 2.29-2.38
S: 0.7170 0.9007 0.4801  3 Al 2.29-2.47
S: 0.6079 0.4173 0.5454  1 S 2.11, 1 Al 2.32
S: 0.0729 0.7844 0.1840  1 S 2.10, 1 Al 2.25
S: 0.5897 0.4546 0.2575  1 S 2.11, 1 Al 2.31
S: 0.3751 0.3331 0.6963  3 Al 2.28-2.38
S: 0.9135 0.3442 0.8787  3 Al 2.27-2.35
S: 0.3724 0.0505 0.5629  1 S 2.11
S: 0.7673 0.7209 0.1852  2 S 2.10-2.11

(2)
A relaxed Al2S3 crystal, computed with PBE-GGA.

- Formation energy from the elements: -1.222 eV per atom
- Total moment: 3.420 Bohr magnetons per cell

Unit cell a=7.0906 b=7.0906 c=52.0479 alpha=90.00 beta=90.00 gamma=120.00
Last column: nearest neighbours and their distance in Å.
Positions (direct):
Al: 0.4960 0.9919 0.9845  6 S 2.38-2.52
Al: 0.3333 0.6667 0.9305  6 S 2.42-2.43
Al: 0.0081 0.5040 0.9845  6 S 2.38-2.52
Al: 0.4960 0.5040 0.9845  6 S 2.38-2.52
Al: 0.1617 0.3234 0.8755  6 S 2.39-2.53
Al: 0.0000 0.0000 0.8226  6 S 2.36-2.54
Al: 0.6766 0.8383 0.8755  6 S 2.39-2.53
Al: 0.8182 0.6363 0.7633  6 S 2.33-2.58
Al: 0.1617 0.8383 0.8755  6 S 2.39-2.53
Al: 0.6667 0.3333 0.7160  3 S 2.25
Al: 0.3637 0.1818 0.7633  6 S 2.33-2.58
Al: 0.8182 0.1818 0.7633  6 S 2.33-2.58
Al: 0.4962 0.9924 0.6549  6 S 2.31-2.53
Al: 0.3333 0.6667 0.5976  6 S 2.39-2.46
Al: 0.0076 0.5038 0.6549  6 S 2.31-2.53
Al: 0.3333 0.6667 0.8049  4 S 2.28-2.33
Al: 0.4962 0.5038 0.6549  6 S 2.31-2.53
Al: 0.1667 0.3334 0.5417  6 S 2.43-2.44
Al: 0.0000 0.0000 0.6111  4 S 2.28-2.30
Al: 0.0000 0.0000 0.4861  6 S 2.44
Al: 0.0000 0.0000 0.6962  4 S 2.20-2.34
Al: 0.6666 0.8333 0.5417  6 S 2.43-2.44
Al: 0.8333 0.6667 0.4306  6 S 2.44
Al: 0.1667 0.8333 0.5417  6 S 2.43-2.44
Al: 0.6667 0.3333 0.5842  4 S 2.26-2.31
Al: 0.6667 0.3333 0.5000  4 S 2.29-2.30
Al: 0.6667 0.3333 0.3750  6 S 2.43-2.44
Al: 0.3333 0.1667 0.4306  6 S 2.44
Al: 0.5002 0.0004 0.3192  6 S 2.41-2.44
Al: 0.8333 0.1667 0.4306  6 S 2.44
Al: 0.3333 0.6667 0.2624  6 S 2.37-2.50
Al: 0.3333 0.6667 0.4722  4 S 2.29-2.30
Al: 0.3333 0.6667 0.3889  4 S 2.29
Al: 0.9996 0.4998 0.3192  6 S 2.41-2.44
Al: 0.5002 0.4998 0.3192  6 S 2.41-2.44
Al: 0.1576 0.3153 0.2047  4 S 2.28-2.51
Al: 0.0000 0.0000 0.3611  4 S 2.29-2.30
Al: 0.0000 0.0000 0.2777  4 S 2.20-2.31
Al: 0.0000 0.0000 0.1550  6 S 2.44-2.46
Al: 0.6847 0.8424 0.2047  4 S 2.28-2.51
Al: 0.8183 0.6367 0.0956  6 S 2.34-2.58
Al: 0.1576 0.8424 0.2047  4 S 2.28-2.51
Al: 0.6667 0.3333 0.2486  4 S 2.28-2.37
Al: 0.3633 0.1817 0.0956  6 S 2.34-2.58
Al: 0.6667 0.3333 0.0446  6 S 2.37-2.51
Al: 0.8183 0.1817 0.0956  6 S 2.34-2.58
Al: 0.3333 0.6667 0.1372  4 S 2.28-2.43
Al: 0.0000 0.0000 0.0284  4 S 2.30-2.34
S: 0.1760 0.3520 0.9587  3 Al 2.38-2.43
S: 0.0000 0.0000 0.9012  3 Al 2.39
S: 0.6480 0.8240 0.9587  3 Al 2.38-2.43
S: 0.1760 0.8240 0.9587  3 Al 2.38-2.43
S: 0.8429 0.6858 0.8486  3 Al 2.36-2.41
S: 0.4863 0.5137 0.9013  3 Al 2.41-2.42
S: 0.6667 0.3333 0.7902  3 Al 2.33
S: 0.6667 0.3333 0.9626  3 Al 2.39
S: 0.3142 0.1571 0.8486  3 Al 2.36-2.41
S: 0.0274 0.5137 0.9013  3 Al 2.41-2.42
S: 0.5043 0.0086 0.7361  3 Al 2.25-2.39
S: 0.1545 0.8455 0.7901  4 Al 2.33-2.54
S: 0.8429 0.1571 0.8486  3 Al 2.36-2.41
S: 0.4863 0.9726 0.9013  3 Al 2.41-2.42
S: 0.3333 0.6667 0.6772  3 Al 2.31
S: 0.9914 0.4957 0.7361  3 Al 2.25-2.39
S: 0.6909 0.8455 0.7901  4 Al 2.33-2.54
S: 0.3333 0.6667 0.8486  4 Al 2.28-2.53
S: 0.5043 0.4957 0.7361  3 Al 2.25-2.39
S: 0.8241 0.1759 0.6788  3 Al 2.34-2.37
S: 0.1763 0.3525 0.6248  4 Al 2.28-2.51
S: 0.1545 0.3091 0.7901  4 Al 2.33-2.54
S: 0.0000 0.0000 0.5669  4 Al 2.30-2.43
S: 0.3518 0.1759 0.6788  3 Al 2.34-2.37
S: 0.0000 0.0000 0.7386  1 Al 2.20
S: 0.6475 0.8237 0.6248  4 Al 2.28-2.51
S: 0.1763 0.8237 0.6248  4 Al 2.28-2.51
S: 0.8431 0.6862 0.5147  4 Al 2.30-2.44
S: 0.8241 0.6482 0.6788  3 Al 2.34-2.37
S: 0.4907 0.5093 0.5684  4 Al 2.31-2.46
S: 0.6667 0.3333 0.4559  4 Al 2.29-2.44
S: 0.0186 0.5093 0.5684  4 Al 2.31-2.46
S: 0.6667 0.3333 0.6276  4 Al 2.26-2.53
S: 0.3138 0.1569 0.5147  4 Al 2.30-2.44
S: 0.8431 0.1569 0.5147  4 Al 2.30-2.44
S: 0.5095 0.0190 0.4036  4 Al 2.29-2.44
S: 0.4907 0.9814 0.5684  4 Al 2.31-2.46
S: 0.1573 0.8427 0.4575  4 Al 2.29-2.44
S: 0.3333 0.6667 0.5164  4 Al 2.30-2.43
S: 0.3333 0.6667 0.3448  4 Al 2.29-2.44
S: 0.6855 0.8427 0.4575  4 Al 2.29-2.44
S: 0.9810 0.4905 0.4036  4 Al 2.29-2.44
S: 0.8233 0.1767 0.3465  4 Al 2.30-2.44
S: 0.5095 0.4905 0.4036  4 Al 2.29-2.44
S: 0.1768 0.3536 0.2931  4 Al 2.31-2.50
S: 0.1573 0.3145 0.4575  4 Al 2.29-2.44
S: 0.0000 0.0000 0.2354  1 Al 2.20
S: 0.3535 0.1767 0.3465  4 Al 2.30-2.44
S: 0.0000 0.0000 0.4051  4 Al 2.29-2.44
S: 0.6464 0.8232 0.2931  4 Al 2.31-2.50
S: 0.8385 0.6769 0.1823  3 Al 2.28-2.44
S: 0.1768 0.8232 0.2931  4 Al 2.31-2.50
S: 0.4891 0.5109 0.2357  2 Al 2.28-2.37
S: 0.8233 0.6465 0.3465  4 Al 2.30-2.44
S: 0.3231 0.1615 0.1823  3 Al 2.28-2.44
S: 0.0217 0.5109 0.2357  2 Al 2.28-2.37
S: 0.6667 0.3333 0.1233  3 Al 2.36
S: 0.6667 0.3333 0.2941  4 Al 2.37-2.43
S: 0.8385 0.1615 0.1823  3 Al 2.28-2.44
S: 0.5058 0.0116 0.0699  3 Al 2.34-2.37
S: 0.1550 0.8450 0.1249  2 Al 2.28-2.46
S: 0.4891 0.9783 0.2357  2 Al 2.28-2.37
S: 0.3333 0.6667 0.1838  4 Al 2.42-2.43
S: 0.3333 0.6667 0.0104  3 Al 2.41
S: 0.9884 0.4942 0.0699  3 Al 2.34-2.37
S: 0.6901 0.8450 0.1249  2 Al 2.28-2.46
S: 0.5058 0.4942 0.0699  3 Al 2.34-2.37
S: 0.8234 0.1766 0.0135  4 Al 2.30-2.52
S: 0.1550 0.3099 0.1249  2 Al 2.28-2.46
S: 0.0000 0.0000 0.0733  4 Al 2.34-2.51
S: 0.3532 0.1766 0.0135  4 Al 2.30-2.52
S: 0.8234 0.6468 0.0135  4 Al 2.30-2.52

(3)
A relaxed Al2S3 crystal, computed with PBE-GGA.

- Formation energy from the elements: -1.352 eV per atom

Unit cell a=6.5487 b=6.5487 c=7.0597 alpha=63.10 beta=63.10 gamma=59.56
Last column: nearest neighbours and their distance in Å.
Positions (direct):
Al: 0.1826 0.9851 0.4972  4 S 2.19-2.32
Al: 0.8103 0.6745 0.5116  4 S 2.19-2.33
Al: 0.9851 0.1826 0.9972  4 S 2.19-2.32
Al: 0.6745 0.8103 0.0116  4 S 2.19-2.33
S: 0.2955 0.1211 0.1140  3 Al 2.31-2.33
S: 0.9571 0.8015 0.1267  3 Al 2.30-2.32
S: 0.6306 0.4588 0.1254  2 Al 2.19
S: 0.1211 0.2955 0.6140  3 Al 2.31-2.33
S: 0.8015 0.9571 0.6267  3 Al 2.30-2.32
S: 0.4588 0.6306 0.6254  2 Al 2.19

(4)
A relaxed Al2S3 crystal, computed with PBE-GGA.

- Formation energy from the elements: -0.428 eV per atom
- Total moment: 0.636 Bohr magnetons per cell

Unit cell a=6.4758 b=7.3492 c=20.9402 alpha=98.51 beta=92.39 gamma=112.26
Last column: nearest neighbours and their distance in Å.
Positions (direct):
Al: 0.3729 0.7049 0.1931  3 S 2.20-2.42
Al: 0.8944 0.9249 0.7441  1 S 2.10
Al: 0.9554 0.6061 0.3592  1 S 1.88
Al: 0.8656 0.5848 0.1083  1 S 1.87
Al: 0.0533 0.8921 0.4285  2 S 2.17-2.35, 1 Al 2.22
Al: 0.3328 0.1318 0.1875  2 S 2.33-2.43
Al: 0.0895 0.6035 0.5167  1 S 1.96
Al: 0.6973 0.7102 0.6257  3 S 2.15-2.36
Al: 0.6400 0.0327 0.1213  2 S 2.31
Al: 0.8929 0.3361 0.0188  3 S 2.10-2.26
Al: 0.3617 0.3595 0.3252  1 S 1.95
Al: 0.7993 0.4300 0.6789  2 S 2.65-2.67, 1 Al 2.75
S: 0.3510 0.7213 0.6524  1 S 1.85
S: 0.9840 0.9887 0.6378  2 Al 2.15-2.39
S: 0.0858 0.7976 0.1648  1 Al 1.87
S: 0.9357 0.6418 0.9984  2 Al 2.26-2.43
S: 0.1333 0.1015 0.2838  1 Al 1.95
S: 0.1518 0.4673 0.6145  1 S 1.85
S: 0.6691 0.0375 0.0118  2 Al 2.10-2.31
S: 0.3634 0.8774 0.4652  1 Al 2.17
S: 0.7178 0.3982 0.3056  1 Al 1.88
S: 0.4828 0.4762 0.1444  1 Al 2.20
S: 0.7631 0.6638 0.5199  2 Al 2.27-2.32
S: 0.9375 0.3548 0.4546  1 Al 1.96, 1 S 2.12
S: 0.1112 0.8956 0.8160  1 Al 2.10, 1 S 2.11
S: 0.6679 0.1225 0.7425  1 S 2.29, 1 Al 2.43
S: 0.3211 0.6543 0.3037  3 Al 2.38-2.61
S: 0.9652 0.3094 0.1213  3 Al 2.23-2.39
S: 0.1905 0.2410 0.4371  1 S 2.12, 1 Al 2.35
S: 0.4179 0.1388 0.8148  2 S 2.11-2.29

(5)
A relaxed Al2S3 crystal, computed with PBE-GGA.

- Formation energy from the elements: -1.353 eV per atom

Unit cell a=15.8569 b=15.8569 c=15.8569 alpha=154.14 beta=154.14 gamma=36.90
Last column: nearest neighbours and their distance in Å.
Positions (direct):
Al: 0.1704 0.1704 0.0000  4 S 2.29
Al: 0.8296 0.8296 0.0000  4 S 2.29
Al: 0.5215 0.2930 0.2284  6 S 2.34-2.53
Al: 0.9204 0.4204 0.5000  4 S 2.29
Al: 0.0430 0.7715 0.7284  6 S 2.34-2.53
Al: 0.2285 0.9570 0.2716  6 S 2.34-2.53
Al: 0.5796 0.0796 0.5000  4 S 2.29
Al: 0.7070 0.4785 0.7716  6 S 2.34-2.53
Al: 0.0430 0.3146 0.2716  6 S 2.34-2.53
Al: 0.3750 0.6250 0.7500  6 S 2.36-2.47
Al: 0.8750 0.6250 0.2500  6 S 2.36-2.47
Al: 0.3750 0.1250 0.7500  6 S 2.36-2.47
Al: 0.7070 0.9354 0.2284  6 S 2.34-2.53
Al: 0.0646 0.2930 0.7716  6 S 2.34-2.53
Al: 0.3750 0.6250 0.2500  6 S 2.36-2.47
Al: 0.6854 0.9570 0.7284  6 S 2.34-2.53
S: 0.6169 0.3745 0.2424  4 Al 2.29-2.47
S: 0.9620 0.7324 0.7705  4 Al 2.29-2.53
S: 0.6179 0.8755 0.7424  4 Al 2.29-2.47
S: 0.2676 0.0380 0.2295  4 Al 2.29-2.53
S: 0.9620 0.1915 0.2295  4 Al 2.29-2.53
S: 0.6255 0.3831 0.7576  4 Al 2.29-2.47
S: 0.1245 0.3821 0.2576  4 Al 2.29-2.47
S: 0.4660 0.7033 0.7627  3 Al 2.34-2.36
S: 0.2840 0.5467 0.7373  3 Al 2.34-2.36
S: 0.9406 0.7033 0.2373  3 Al 2.34-2.36
S: 0.1245 0.8669 0.7424  4 Al 2.29-2.47
S: 0.6255 0.8679 0.2424  4 Al 2.29-2.47
S: 0.2967 0.0594 0.7627  3 Al 2.34-2.36
S: 0.7880 0.0585 0.2705  4 Al 2.29-2.53
S: 0.1321 0.3745 0.7576  4 Al 2.29-2.47
S: 0.4824 0.2120 0.2705  4 Al 2.29-2.53
S: 0.9415 0.2120 0.7295  4 Al 2.29-2.53
S: 0.7880 0.5176 0.7295  4 Al 2.29-2.53
S: 0.2967 0.5340 0.2373  3 Al 2.34-2.36
S: 0.4533 0.7160 0.2627  3 Al 2.34-2.36
S: 0.1331 0.8755 0.2576  4 Al 2.29-2.47
S: 0.8085 0.0380 0.7705  4 Al 2.29-2.53
S: 0.4533 0.1906 0.7373  3 Al 2.34-2.36
S: 0.8094 0.5467 0.2627  3 Al 2.34-2.36